1.
A plane-wave DFT calculation with PBE with a Hubbard U was carried out for crystalline TaCrO4 at its relaxed geometry.

Cell lengths 6.6727, 6.6727, 6.1134 Å; angles 90.00, 90.00, 90.00 degrees
Space group I4_1md (No. 109)
Inequivalent atoms, fractional coordinates:
1 Ta 0.0000 0.0000 0.0000 [4 per cell]
2 Cr 0.0000 0.0000 0.4900 [4 per cell]
3 O 0.0000 0.3027 0.4830 [8 per cell]
4 O 0.0000 0.3042 0.9923 [8 per cell]

- Crystal system: tetragonal
- Energy with MP2020 corrections: -236.0 eV per cell
- Piezoelectric modulus e_max: 0.5 C/m2
- Formation energy from the elements: -2.947 eV per atom

2.
A plane-wave DFT calculation with PBE with a Hubbard U was carried out for crystalline Ta8Cr3O24 at its relaxed geometry.

Cell lengths 6.7709, 6.7772, 9.2220 Å; angles 90.01, 90.00, 90.09 degrees
Space group P1 (No. 1)
Inequivalent atoms, fractional coordinates:
1 Ta 0.0000 0.0000 0.0000 [1 per cell]
2 Ta 0.0005 0.0002 0.3629 [1 per cell]
3 Ta 0.4992 0.5010 0.0069 [1 per cell]
4 Ta 0.5005 0.0006 0.8366 [1 per cell]
5 Ta 0.4998 0.4978 0.3410 [1 per cell]
6 Ta 0.5005 0.9981 0.5012 [1 per cell]
7 Ta 0.9994 0.5003 0.1814 [1 per cell]
8 Ta 0.9992 0.4999 0.8087 [1 per cell]
9 Cr 0.0004 0.9995 0.6696 [1 per cell]
10 Cr 0.5002 0.9995 0.1694 [1 per cell]
11 Cr 0.5004 0.4994 0.6740 [1 per cell]
12 O 0.0004 0.1976 0.8442 [1 per cell]
13 O 0.9997 0.8028 0.1657 [1 per cell]
14 O 0.9996 0.8095 0.5038 [1 per cell]
15 O 0.0013 0.1964 0.1657 [1 per cell]
16 O 0.0019 0.1901 0.5043 [1 per cell]
17 O 0.1992 0.5004 0.0056 [1 per cell]
18 O 0.2117 0.5005 0.3163 [1 per cell]
19 O 0.2133 0.5003 0.6874 [1 per cell]
20 O 0.3003 0.9986 0.9968 [1 per cell]
21 O 0.3043 0.9987 0.3421 [1 per cell]
22 O 0.3090 0.9985 0.6709 [1 per cell]
23 O 0.4994 0.3000 0.5014 [1 per cell]
24 O 0.5003 0.2986 0.8429 [1 per cell]
25 O 0.4997 0.3078 0.1685 [1 per cell]
26 O 0.5011 0.6979 0.5012 [1 per cell]
27 O 0.5019 0.6912 0.1688 [1 per cell]
28 O 0.5019 0.7009 0.8427 [1 per cell]
29 O 0.6918 0.0003 0.6707 [1 per cell]
30 O 0.6967 0.0005 0.3423 [1 per cell]
31 O 0.6998 0.0002 0.9975 [1 per cell]
32 O 0.7878 0.4986 0.6854 [1 per cell]
33 O 0.7892 0.4982 0.3170 [1 per cell]
34 O 0.8032 0.4987 0.0055 [1 per cell]
35 O 0.9988 0.8018 0.8443 [1 per cell]

- E above lowest polymorph: 0.000 eV/atom
- Crystal system: triclinic
- Energy with MP2020 corrections: -350.2 eV per cell
- Formation energy from the elements: -3.075 eV per atom